This record from Materials Project describes crystalline Li3MnFeCoP3O12 at its relaxed geometry. The functional is PBE with a Hubbard U.

Cell: 10.460 6.090 14.300 Å, 90.00 90.02 90.00°
Sites, in units of the cell vectors:
1 Li 0.000 0.249 0.000
2 Li 0.000 0.250 0.333
3 Li 0.000 0.250 0.666
4 Li 0.000 0.750 0.333
5 Li 0.000 0.750 0.666
6 Li 0.000 0.751 0.000
7 Li 0.498 0.249 0.166
8 Li 0.498 0.250 0.499
9 Li 0.498 0.750 0.499
10 Li 0.498 0.751 0.166
11 Li 0.499 0.249 0.833
12 Li 0.499 0.751 0.833
13 Mn 0.219 0.500 0.826
14 Mn 0.718 0.500 0.007
15 Mn 0.718 0.500 0.673
16 Mn 0.780 0.000 0.506
17 Fe 0.219 0.500 0.491
18 Fe 0.717 0.500 0.340
19 Fe 0.780 0.000 0.841
20 Fe 0.781 0.000 0.174
21 Co 0.222 0.500 0.159
22 Co 0.277 0.000 0.993
23 Co 0.280 0.000 0.327
24 Co 0.280 0.000 0.660
25 P 0.094 0.000 0.804
26 P 0.095 0.000 0.139
27 P 0.096 0.000 0.472
28 P 0.403 0.500 0.305
29 P 0.403 0.500 0.638
30 P 0.404 0.500 0.973
31 P 0.591 0.000 0.359
32 P 0.591 0.000 0.695
33 P 0.592 0.000 0.028
34 P 0.906 0.500 0.860
35 P 0.907 0.500 0.194
36 P 0.907 0.500 0.527
37 O 0.042 0.500 0.903
38 O 0.044 0.500 0.235
39 O 0.045 0.500 0.568
40 O 0.097 0.000 0.579
41 O 0.098 0.000 0.247
42 O 0.098 0.000 0.912
43 O 0.164 0.201 0.759
44 O 0.164 0.799 0.759
45 O 0.166 0.203 0.095
46 O 0.166 0.797 0.095
47 O 0.167 0.202 0.427
48 O 0.167 0.798 0.427
49 O 0.332 0.296 0.595
50 O 0.332 0.297 0.261
51 O 0.332 0.703 0.261
52 O 0.332 0.704 0.595
53 O 0.334 0.295 0.930
54 O 0.334 0.705 0.930
55 O 0.402 0.500 0.081
56 O 0.402 0.500 0.413
57 O 0.404 0.500 0.746
58 O 0.453 0.000 0.068
59 O 0.453 0.000 0.735
60 O 0.454 0.000 0.401
61 O 0.540 0.500 0.595
62 O 0.541 0.500 0.264
63 O 0.541 0.500 0.930
64 O 0.594 0.000 0.252
65 O 0.594 0.000 0.588
66 O 0.596 0.000 0.920
67 O 0.662 0.201 0.073
68 O 0.662 0.201 0.740
69 O 0.662 0.203 0.403
70 O 0.662 0.797 0.403
71 O 0.662 0.799 0.073
72 O 0.662 0.799 0.740
73 O 0.835 0.297 0.238
74 O 0.835 0.297 0.904
75 O 0.835 0.703 0.238
76 O 0.835 0.703 0.904
77 O 0.837 0.298 0.572
78 O 0.837 0.702 0.572
79 O 0.903 0.500 0.419
80 O 0.904 0.500 0.087
81 O 0.905 0.500 0.753
82 O 0.956 0.000 0.764
83 O 0.957 0.000 0.098
84 O 0.959 0.000 0.430

Summary:
E = -6.887 eV per atom
energy of formation = -2.493 eV per atom
excess energy over the best structure of this formula in the dataset = 0.001 eV/atom

=====

This record from Materials Project describes crystalline Li3MnFeCoP3O12 at its relaxed geometry. The functional is PBE with a Hubbard U.

Cell: 10.461 6.092 14.279 Å, 90.00 90.05 90.00°
Sites, in units of the cell vectors:
1 Li 0.000 0.249 0.000
2 Li 0.000 0.751 0.000
3 Li 0.001 0.250 0.333
4 Li 0.001 0.750 0.333
5 Li 0.497 0.249 0.166
6 Li 0.497 0.751 0.166
7 Li 0.498 0.250 0.500
8 Li 0.498 0.250 0.834
9 Li 0.498 0.750 0.500
10 Li 0.498 0.750 0.834
11 Li 0.999 0.250 0.667
12 Li 0.999 0.750 0.667
13 Mn 0.218 0.500 0.826
14 Mn 0.716 0.500 0.340
15 Mn 0.717 0.500 0.007
16 Mn 0.779 0.000 0.507
17 Fe 0.219 0.500 0.493
18 Fe 0.718 0.500 0.674
19 Fe 0.780 0.000 0.174
20 Fe 0.780 0.000 0.841
21 Co 0.219 0.500 0.160
22 Co 0.277 0.000 0.326
23 Co 0.278 0.000 0.660
24 Co 0.278 0.000 0.995
25 P 0.093 0.000 0.805
26 P 0.095 0.000 0.139
27 P 0.095 0.000 0.472
28 P 0.402 0.500 0.306
29 P 0.403 0.500 0.974
30 P 0.404 0.500 0.639
31 P 0.590 0.000 0.360
32 P 0.592 0.000 0.029
33 P 0.592 0.000 0.695
34 P 0.904 0.500 0.860
35 P 0.906 0.500 0.529
36 P 0.907 0.500 0.193
37 O 0.041 0.500 0.903
38 O 0.044 0.500 0.235
39 O 0.044 0.500 0.569
40 O 0.096 0.000 0.580
41 O 0.097 0.000 0.247
42 O 0.097 0.000 0.913
43 O 0.163 0.201 0.759
44 O 0.163 0.799 0.759
45 O 0.166 0.202 0.428
46 O 0.166 0.203 0.095
47 O 0.166 0.797 0.095
48 O 0.166 0.798 0.428
49 O 0.331 0.297 0.261
50 O 0.331 0.703 0.261
51 O 0.333 0.296 0.930
52 O 0.333 0.297 0.595
53 O 0.333 0.703 0.595
54 O 0.333 0.704 0.930
55 O 0.401 0.500 0.413
56 O 0.402 0.500 0.081
57 O 0.404 0.500 0.747
58 O 0.452 0.000 0.401
59 O 0.454 0.000 0.068
60 O 0.454 0.000 0.736
61 O 0.538 0.500 0.264
62 O 0.539 0.500 0.931
63 O 0.541 0.500 0.597
64 O 0.594 0.000 0.587
65 O 0.595 0.000 0.253
66 O 0.596 0.000 0.921
67 O 0.660 0.201 0.406
68 O 0.660 0.799 0.406
69 O 0.662 0.201 0.074
70 O 0.662 0.799 0.074
71 O 0.663 0.202 0.739
72 O 0.663 0.798 0.739
73 O 0.834 0.297 0.903
74 O 0.834 0.703 0.903
75 O 0.835 0.300 0.574
76 O 0.835 0.700 0.574
77 O 0.836 0.297 0.237
78 O 0.836 0.703 0.237
79 O 0.903 0.500 0.421
80 O 0.903 0.500 0.753
81 O 0.905 0.500 0.086
82 O 0.955 0.000 0.765
83 O 0.958 0.000 0.098
84 O 0.958 0.000 0.430

Summary:
E = -6.872 eV per atom
energy of formation = -2.478 eV per atom
excess energy over the best structure of this formula in the dataset = 0.017 eV/atom